FeH2O2 | GGA+U | optimized geometry

Cell: 3.3106 3.3106 4.6482 Å, 94.61 94.61 59.82°
Last column: nearest neighbours and their distance in Å.
Element x y z (fractional)
1 Fe 0.0000 0.0000 0.0000  6 O 2.14-2.21
2 H 0.3883 0.2002 0.5730  1 O 0.98
3 H 0.7998 0.6117 0.4270  1 O 0.98
4 O 0.3161 0.3012 0.7756  1 H 0.98
5 O 0.6988 0.6839 0.2244  1 H 0.98

Values from the calculation:
Energy above the lowest structure with this stoichiometry in eV/atom: 0.014
Piezoelectric modulus e_max in C/m2: 0.93
Energy of formation in eV per atom: -1.348
Symmetry: C2, No. 5
Crystal system: monoclinic

***

SrLaMnO4F | GGA+U | optimized geometry

Cell: 5.3885 5.3885 14.0004 Å, 90.00 90.00 90.00°
Last column: nearest neighbours and their distance in Å.
Element x y z (fractional)
1 O 0.0000 0.7500 0.7695  2 Mn 1.91
2 O 0.5000 0.2500 0.7695  2 Mn 1.91
3 O 0.5000 0.2500 0.2305  2 Mn 1.91
4 O 0.5000 0.7500 0.7695  2 Mn 1.91
5 O 0.2500 0.0000 0.6418  1 Mn 1.88
6 O 0.0000 0.2500 0.2305  2 Mn 1.91
7 O 0.5000 0.7500 0.2305  2 Mn 1.91
8 O 0.2500 0.0000 0.9169  1 Mn 1.97
9 O 0.0000 0.7500 0.2305  2 Mn 1.91
10 O 0.7500 0.5000 0.6418  1 Mn 1.88
11 O 0.0000 0.2500 0.7695  2 Mn 1.91
12 O 0.2500 0.5000 0.0831  1 Mn 1.97
13 O 0.7500 0.0000 0.3582  1 Mn 1.88
14 O 0.7500 0.5000 0.9169  1 Mn 1.97
15 O 0.2500 0.5000 0.3582  1 Mn 1.88
16 O 0.7500 0.0000 0.0831  1 Mn 1.97
17 F 0.0000 0.2500 0.5000  4 La 2.56, 4 F 2.69, 4 O 2.75
18 F 0.0000 0.7500 0.5000  4 La 2.56, 4 F 2.69, 4 O 2.75
19 F 0.5000 0.2500 0.5000  4 La 2.56, 4 F 2.69, 4 O 2.75
20 F 0.5000 0.7500 0.5000  4 La 2.56, 4 F 2.69, 4 O 2.75
21 La 0.2500 0.5000 0.6226  4 F 2.56, 8 O 2.71-2.80
22 La 0.7500 0.0000 0.6226  4 F 2.56, 8 O 2.71-2.80
23 La 0.7500 0.5000 0.3774  4 F 2.56, 8 O 2.71-2.80
24 La 0.2500 0.0000 0.3775  4 F 2.56, 8 O 2.71-2.80
25 Sr 0.2500 0.5000 0.9043  9 O 2.50-2.70
26 Sr 0.2500 0.0000 0.0957  9 O 2.50-2.70
27 Sr 0.7500 0.5000 0.0957  9 O 2.50-2.70
28 Sr 0.7500 0.0000 0.9043  9 O 2.50-2.70
29 Mn 0.2500 0.5000 0.2238  6 O 1.88-1.97
30 Mn 0.7500 0.0000 0.2238  6 O 1.88-1.97
31 Mn 0.7500 0.5000 0.7762  6 O 1.88-1.97
32 Mn 0.2500 0.0000 0.7762  6 O 1.88-1.97

Values from the calculation:
Energy of formation in eV per atom: -3.073